Entry 1:
## Li2FePCO7 (PBE with a Hubbard U)

Data for Li2FePCO7 after structural relaxation.

## Properties
ΔH_f (0 K) = -220.4 kJ per mole of atoms
space-group type = P1, No. 1
electronic total energy = -327.62 eV per cell
E above lowest polymorph = 12 meV per atom
calculated volume = 11.380 Å³ per atom

Cell lengths 6.474, 8.318, 10.187 Å; angles 95.25, 90.14, 90.63 degrees
Positions (direct):
Li (0.000, 0.000, 0.000)
Li (0.001, 0.003, 0.499)
Li (0.227, 0.823, 0.743)
Li (0.229, 0.824, 0.243)
Li (0.507, 0.447, 0.752)
Li (0.710, 0.626, 0.008)
Li (0.716, 0.626, 0.506)
Li (0.933, 0.447, 0.252)
Fe (0.215, 0.396, 0.524)
Fe (0.221, 0.397, 0.024)
Fe (0.706, 0.053, 0.224)
Fe (0.714, 0.053, 0.725)
P (0.205, 0.145, 0.262)
P (0.220, 0.144, 0.762)
P (0.721, 0.304, 0.986)
P (0.725, 0.305, 0.486)
C (0.208, 0.685, 0.475)
C (0.212, 0.685, 0.974)
C (0.720, 0.765, 0.775)
C (0.736, 0.766, 0.274)
O (0.029, 0.026, 0.211)
O (0.035, 0.040, 0.704)
O (0.183, 0.186, 0.414)
O (0.185, 0.187, 0.913)
O (0.185, 0.826, 0.939)
O (0.185, 0.827, 0.441)
O (0.192, 0.304, 0.196)
O (0.208, 0.650, 0.098)
O (0.213, 0.560, 0.386)
O (0.228, 0.650, 0.597)
O (0.243, 0.561, 0.887)
O (0.251, 0.303, 0.697)
O (0.401, 0.045, 0.230)
O (0.407, 0.030, 0.738)
O (0.528, 0.404, 0.028)
O (0.533, 0.408, 0.530)
O (0.689, 0.625, 0.811)
O (0.714, 0.263, 0.834)
O (0.714, 0.800, 0.152)
O (0.715, 0.800, 0.651)
O (0.731, 0.263, 0.334)
O (0.732, 0.892, 0.362)
O (0.736, 0.147, 0.553)
O (0.742, 0.146, 0.053)
O (0.752, 0.890, 0.861)
O (0.756, 0.624, 0.309)
O (0.902, 0.424, 0.029)
O (0.907, 0.423, 0.526)

---

Entry 2:
## V4Ge13O36 (PBE with a Hubbard U)

Data for V4Ge13O36 after structural relaxation.

## Properties
ΔH_f (0 K) = -157.0 kJ per mole of atoms
space-group type = P2/m, No. 10
electronic total energy = -348.20 eV per cell
E above lowest polymorph = 461 meV per atom
calculated volume = 9.949 Å³ per atom

Cell lengths 4.593, 2.905, 39.528 Å; angles 90.00, 91.07, 90.00 degrees
Positions (direct):
V (0.068, 0.000, 0.403)
V (0.237, 0.500, 0.544)
V (0.763, 0.500, 0.456)
V (0.932, 0.000, 0.597)
Ge (0.007, 0.000, 0.058)
Ge (0.025, 0.000, 0.173)
Ge (0.050, 0.000, 0.287)
Ge (0.432, 0.500, 0.656)
Ge (0.462, 0.500, 0.770)
Ge (0.485, 0.500, 0.885)
Ge (0.500, 0.500, 0.000)
Ge (0.515, 0.500, 0.115)
Ge (0.538, 0.500, 0.230)
Ge (0.568, 0.500, 0.344)
Ge (0.950, 0.000, 0.713)
Ge (0.975, 0.000, 0.827)
Ge (0.993, 0.000, 0.942)
O (0.137, 0.500, 0.445)
O (0.141, 0.500, 0.692)
O (0.144, 0.000, 0.508)
O (0.163, 0.500, 0.805)
O (0.180, 0.500, 0.920)
O (0.194, 0.500, 0.036)
O (0.210, 0.000, 0.638)
O (0.211, 0.500, 0.151)
O (0.236, 0.500, 0.590)
O (0.242, 0.500, 0.266)
O (0.265, 0.000, 0.748)
O (0.280, 0.500, 0.382)
O (0.291, 0.000, 0.862)
O (0.306, 0.000, 0.978)
O (0.320, 0.000, 0.093)
O (0.338, 0.000, 0.209)
O (0.361, 0.000, 0.324)
O (0.472, 0.000, 0.548)
O (0.528, 0.000, 0.452)
O (0.639, 0.000, 0.676)
O (0.662, 0.000, 0.791)
O (0.680, 0.000, 0.907)
O (0.694, 0.000, 0.022)
O (0.709, 0.000, 0.138)
O (0.720, 0.500, 0.618)
O (0.735, 0.000, 0.252)
O (0.758, 0.500, 0.734)
O (0.764, 0.500, 0.410)
O (0.789, 0.500, 0.849)
O (0.790, 0.000, 0.362)
O (0.806, 0.500, 0.964)
O (0.820, 0.500, 0.080)
O (0.837, 0.500, 0.195)
O (0.856, 0.000, 0.492)
O (0.859, 0.500, 0.308)
O (0.863, 0.500, 0.555)

---

Entry 3:
## Li2Mn3FeO8 (PBE with a Hubbard U)

Data for Li2Mn3FeO8 after structural relaxation.

## Properties
ΔH_f (0 K) = -190.8 kJ per mole of atoms
space-group type = P1, No. 1
electronic total energy = -188.58 eV per cell
E above lowest polymorph = 26 meV per atom
calculated volume = 10.202 Å³ per atom

Cell lengths 5.814, 5.871, 9.525 Å; angles 90.06, 90.54, 118.53 degrees
Positions (direct):
Li (0.000, 0.000, 0.000)
Li (0.009, 0.986, 0.501)
Li (0.333, 0.657, 0.110)
Li (0.677, 0.329, 0.606)
Mn (0.170, 0.823, 0.783)
Mn (0.177, 0.333, 0.782)
Mn (0.347, 0.163, 0.285)
Mn (0.664, 0.827, 0.784)
Mn (0.836, 0.653, 0.280)
Mn (0.839, 0.163, 0.285)
Fe (0.351, 0.667, 0.505)
Fe (0.665, 0.319, 0.006)
O (0.023, 0.022, 0.185)
O (0.048, 0.521, 0.663)
O (0.168, 0.315, 0.400)
O (0.178, 0.836, 0.393)
O (0.319, 0.149, 0.894)
O (0.343, 0.669, 0.891)
O (0.478, 0.959, 0.666)
O (0.514, 0.464, 0.164)
O (0.516, 0.541, 0.654)
O (0.525, 0.030, 0.166)
O (0.660, 0.298, 0.397)
O (0.690, 0.839, 0.392)
O (0.815, 0.140, 0.898)
O (0.845, 0.674, 0.895)
O (0.963, 0.465, 0.163)
O (0.996, 0.987, 0.688)

---

Entry 4:
## MnV2TeO7 (PBE with a Hubbard U)

Data for MnV2TeO7 after structural relaxation.

## Properties
ΔH_f (0 K) = -210.9 kJ per mole of atoms
space-group type = P-1, No. 2
electronic total energy = -158.55 eV per cell
calculated volume = 13.861 Å³ per atom

Cell lengths 6.793, 7.014, 8.025 Å; angles 94.40, 113.53, 114.59 degrees
Positions (direct):
Mn (0.061, 0.436, 0.324)
Mn (0.939, 0.564, 0.676)
V (0.008, 0.067, 0.828)
V (0.474, 0.613, 0.833)
V (0.526, 0.387, 0.167)
V (0.992, 0.933, 0.172)
Te (0.442, 0.807, 0.210)
Te (0.558, 0.193, 0.790)
O (0.051, 0.134, 0.345)
O (0.157, 0.759, 0.247)
O (0.235, 0.091, 0.085)
O (0.249, 0.594, 0.619)
O (0.285, 0.721, 0.940)
O (0.323, 0.318, 0.869)
O (0.354, 0.516, 0.245)
O (0.646, 0.484, 0.755)
O (0.677, 0.682, 0.131)
O (0.715, 0.279, 0.060)
O (0.751, 0.406, 0.381)
O (0.765, 0.909, 0.915)
O (0.843, 0.241, 0.753)
O (0.949, 0.866, 0.655)

---

Entry 5:
## Cr2O5 (PBE with a Hubbard U)

Data for Cr2O5 after structural relaxation.

## Properties
ΔH_f (0 K) = -161.3 kJ per mole of atoms
space-group type = Cmcm, No. 63
electronic total energy = -96.63 eV per cell
E above lowest polymorph = 51 meV per atom
calculated volume = 16.785 Å³ per atom

Cell lengths 6.133, 6.133, 11.094 Å; angles 90.00, 90.00, 145.73 degrees
Positions (direct):
Cr (0.203, 0.797, 0.599)
Cr (0.203, 0.797, 0.901)
Cr (0.797, 0.203, 0.099)
Cr (0.797, 0.203, 0.401)
O (0.069, 0.931, 0.609)
O (0.069, 0.931, 0.891)
O (0.252, 0.748, 0.069)
O (0.252, 0.748, 0.431)
O (0.261, 0.739, 0.750)
O (0.739, 0.261, 0.250)
O (0.748, 0.252, 0.569)
O (0.748, 0.252, 0.931)
O (0.931, 0.069, 0.109)
O (0.931, 0.069, 0.391)

---

Entry 6:
## Li7Co5O12 (PBE with a Hubbard U)

Data for Li7Co5O12 after structural relaxation.

## Properties
ΔH_f (0 K) = -168.3 kJ per mole of atoms
space-group type = C2, No. 5
electronic total energy = -267.40 eV per cell
E above lowest polymorph = 19 meV per atom
calculated volume = 8.466 Å³ per atom

Cell lengths 7.622, 7.622, 9.653 Å; angles 121.34, 121.34, 69.20 degrees
Positions (direct):
Li (0.000, 0.000, 0.000)
Li (0.033, 0.711, 0.116)
Li (0.125, 0.128, 0.372)
Li (0.209, 0.536, 0.621)
Li (0.289, 0.967, 0.884)
Li (0.373, 0.380, 0.131)
Li (0.464, 0.791, 0.379)
Li (0.501, 0.499, 0.500)
Li (0.533, 0.213, 0.618)
Li (0.620, 0.627, 0.869)
Li (0.705, 0.042, 0.121)
Li (0.787, 0.467, 0.382)
Li (0.872, 0.875, 0.628)
Li (0.958, 0.295, 0.879)
Co (0.084, 0.411, 0.251)
Co (0.168, 0.832, 0.500)
Co (0.245, 0.257, 0.752)
Co (0.323, 0.677, 0.000)
Co (0.415, 0.087, 0.252)
Co (0.589, 0.916, 0.749)
Co (0.662, 0.338, 0.000)
Co (0.743, 0.755, 0.248)
Co (0.826, 0.174, 0.500)
Co (0.913, 0.585, 0.748)
O (0.015, 0.353, 0.577)
O (0.055, 0.075, 0.675)
O (0.111, 0.755, 0.821)
O (0.143, 0.488, 0.923)
O (0.197, 0.196, 0.085)
O (0.241, 0.600, 0.307)
O (0.245, 0.889, 0.179)
O (0.313, 0.302, 0.425)
O (0.351, 0.033, 0.581)
O (0.400, 0.759, 0.693)
O (0.421, 0.447, 0.826)
O (0.471, 0.169, 0.934)
O (0.512, 0.857, 0.077)
O (0.553, 0.579, 0.174)
O (0.613, 0.253, 0.323)
O (0.647, 0.985, 0.423)
O (0.698, 0.687, 0.575)
O (0.744, 0.104, 0.813)
O (0.747, 0.387, 0.677)
O (0.804, 0.803, 0.915)
O (0.831, 0.529, 0.066)
O (0.896, 0.256, 0.187)
O (0.925, 0.945, 0.325)
O (0.967, 0.649, 0.419)

---

Entry 7:
## TiV3O8 (PBE with a Hubbard U)

Data for TiV3O8 after structural relaxation.

## Properties
ΔH_f (0 K) = -261.5 kJ per mole of atoms
space-group type = P1, No. 1
electronic total energy = -193.32 eV per cell
E above lowest polymorph = 1 meV per atom
calculated volume = 12.130 Å³ per atom

Cell lengths 3.791, 6.435, 12.850 Å; angles 77.29, 81.54, 72.89 degrees
Positions (direct):
Ti (0.000, 0.000, 0.000)
Ti (0.001, 0.499, 0.500)
V (0.606, 0.505, 0.279)
V (0.610, 0.005, 0.779)
V (0.665, 0.598, 0.989)
V (0.747, 0.097, 0.489)
V (0.902, 0.893, 0.290)
V (0.915, 0.394, 0.790)
O (0.065, 0.550, 0.316)
O (0.069, 0.051, 0.816)
O (0.176, 0.152, 0.493)
O (0.177, 0.653, 0.993)
O (0.446, 0.815, 0.287)
O (0.453, 0.315, 0.787)
O (0.547, 0.437, 0.468)
O (0.548, 0.937, 0.968)
O (0.672, 0.004, 0.645)
O (0.679, 0.503, 0.145)
O (0.752, 0.165, 0.328)
O (0.755, 0.666, 0.828)
O (0.858, 0.808, 0.459)
O (0.874, 0.308, 0.959)
O (0.945, 0.969, 0.140)
O (0.948, 0.469, 0.640)

---

Entry 8:
## LiFeF4 (PBE with a Hubbard U)

Data for LiFeF4 after structural relaxation.

## Properties
ΔH_f (0 K) = -265.0 kJ per mole of atoms
space-group type = C2/c, No. 15
electronic total energy = -60.82 eV per cell
E above lowest polymorph = 78 meV per atom
calculated volume = 13.677 Å³ per atom

Cell lengths 6.187, 6.187, 5.614 Å; angles 94.46, 94.46, 50.05 degrees
Positions (direct):
Li (0.217, 0.783, 0.750)
Li (0.783, 0.217, 0.250)
Fe (0.000, 0.500, 0.000)
Fe (0.500, 0.000, 0.500)
F (0.146, 0.697, 0.024)
F (0.192, 0.331, 0.691)
F (0.303, 0.854, 0.476)
F (0.331, 0.192, 0.191)
F (0.669, 0.808, 0.809)
F (0.697, 0.146, 0.524)
F (0.808, 0.669, 0.309)
F (0.854, 0.303, 0.976)

---

Entry 9:
## Cr6PbO18 (PBE with a Hubbard U)

Data for Cr6PbO18 after structural relaxation.

## Properties
ΔH_f (0 K) = -123.8 kJ per mole of atoms
space-group type = C2/m, No. 12
electronic total energy = -158.42 eV per cell
calculated volume = 12.210 Å³ per atom

Cell lengths 6.428, 6.428, 8.279 Å; angles 105.10, 105.10, 70.31 degrees
Positions (direct):
Cr (0.000, 0.500, 0.000)
Cr (0.158, 0.670, 0.656)
Cr (0.330, 0.842, 0.344)
Cr (0.500, 0.000, 0.000)
Cr (0.670, 0.158, 0.656)
Cr (0.842, 0.330, 0.344)
Pb (0.500, 0.500, 0.000)
O (0.000, 0.500, 0.500)
O (0.083, 0.083, 0.333)
O (0.091, 0.581, 0.837)
O (0.171, 0.663, 0.163)
O (0.249, 0.751, 0.500)
O (0.254, 0.254, 0.000)
O (0.337, 0.829, 0.837)
O (0.418, 0.418, 0.672)
O (0.419, 0.909, 0.163)
O (0.500, 0.000, 0.500)
O (0.581, 0.091, 0.837)
O (0.582, 0.582, 0.328)
O (0.663, 0.171, 0.163)
O (0.746, 0.746, 0.000)
O (0.751, 0.249, 0.500)
O (0.829, 0.337, 0.837)
O (0.909, 0.419, 0.163)
O (0.917, 0.917, 0.667)

---

Entry 10:
## Li3V2F9 (PBE with a Hubbard U)

Data for Li3V2F9 after structural relaxation.

## Properties
ΔH_f (0 K) = -302.7 kJ per mole of atoms
space-group type = C2, No. 5
electronic total energy = -77.50 eV per cell
E above lowest polymorph = 26 meV per atom
calculated volume = 14.064 Å³ per atom

Cell lengths 5.680, 5.680, 7.440 Å; angles 95.42, 95.42, 55.58 degrees
Positions (direct):
Li (0.000, 0.000, 0.000)
Li (0.154, 0.566, 0.538)
Li (0.434, 0.846, 0.462)
V (0.347, 0.366, 0.152)
V (0.634, 0.653, 0.848)
F (0.258, 0.669, 0.333)
F (0.293, 0.196, 0.355)
F (0.331, 0.742, 0.667)
F (0.366, 0.634, 0.000)
F (0.424, 0.057, 0.954)
F (0.749, 0.167, 0.189)
F (0.804, 0.707, 0.645)
F (0.833, 0.251, 0.811)
F (0.943, 0.576, 0.046)

---

Entry 11:
## Na5Cr2PC4O16 (PBE with a Hubbard U)

Data for Na5Cr2PC4O16 after structural relaxation.

## Properties
ΔH_f (0 K) = -205.7 kJ per mole of atoms
space-group type = Fdd2, No. 43
electronic total energy = -384.26 eV per cell
calculated volume = 12.090 Å³ per atom

Cell lengths 9.887, 9.879, 9.804 Å; angles 60.30, 60.22, 59.47 degrees
Positions (direct):
Na (0.000, 0.000, 0.000)
Na (0.250, 0.250, 0.250)
Na (0.260, 0.838, 0.257)
Na (0.261, 0.838, 0.645)
Na (0.604, 0.993, 0.412)
Na (0.605, 0.994, 0.989)
Na (0.838, 0.260, 0.646)
Na (0.838, 0.261, 0.256)
Na (0.993, 0.604, 0.990)
Na (0.994, 0.605, 0.412)
Cr (0.421, 0.422, 0.826)
Cr (0.422, 0.421, 0.331)
Cr (0.424, 0.919, 0.829)
Cr (0.919, 0.424, 0.828)
P (0.048, 0.048, 0.452)
P (0.798, 0.798, 0.202)
C (0.206, 0.559, 0.619)
C (0.209, 0.209, 0.614)
C (0.209, 0.209, 0.968)
C (0.282, 0.636, 0.041)
C (0.559, 0.206, 0.617)
C (0.631, 0.633, 0.044)
C (0.633, 0.631, 0.691)
C (0.636, 0.282, 0.041)
O (0.064, 0.325, 0.638)
O (0.066, 0.234, 0.970)
O (0.066, 0.555, 0.736)
O (0.230, 0.563, 0.473)
O (0.234, 0.066, 0.730)
O (0.234, 0.325, 0.970)
O (0.244, 0.985, 0.385)
O (0.278, 0.612, 0.925)
O (0.280, 0.520, 0.184)
O (0.280, 0.779, 0.016)
O (0.320, 0.565, 0.643)
O (0.325, 0.064, 0.972)
O (0.325, 0.234, 0.471)
O (0.514, 0.607, 0.184)
O (0.517, 0.777, 0.687)
O (0.520, 0.280, 0.016)
O (0.555, 0.066, 0.643)
O (0.563, 0.230, 0.733)
O (0.565, 0.320, 0.473)
O (0.606, 0.872, 0.261)
O (0.607, 0.514, 0.695)
O (0.607, 0.777, 0.930)
O (0.612, 0.278, 0.186)
O (0.777, 0.517, 0.020)
O (0.777, 0.607, 0.685)
O (0.779, 0.280, 0.925)
O (0.864, 0.865, 0.265)
O (0.865, 0.864, 0.006)
O (0.872, 0.606, 0.261)
O (0.985, 0.244, 0.386)
O (0.989, 0.989, 0.378)
O (0.989, 0.989, 0.644)

---

Entry 12:
## Sr3Fe2ClO5 (PBE with a Hubbard U)

Data for Sr3Fe2ClO5 after structural relaxation.

## Properties
ΔH_f (0 K) = -225.3 kJ per mole of atoms
space-group type = P4/mmm, No. 123
electronic total energy = -66.34 eV per cell
calculated volume = 16.199 Å³ per atom

Cell lengths 3.920, 3.920, 11.594 Å; angles 90.00, 90.00, 90.00 degrees
Positions (direct):
Sr (0.000, 0.000, 0.000)
Sr (0.000, 0.000, 0.321)
Sr (0.000, 0.000, 0.679)
Fe (0.500, 0.500, 0.173)
Fe (0.500, 0.500, 0.827)
Cl (0.500, 0.500, 0.500)
O (0.000, 0.500, 0.200)
O (0.000, 0.500, 0.800)
O (0.500, 0.000, 0.200)
O (0.500, 0.000, 0.800)
O (0.500, 0.500, 0.000)